A plane-wave DFT calculation with PBE was carried out for a relaxed structure of Rb2NbAuF6.

Unit cell a=10.230 b=10.230 c=10.230 alpha=90.00 beta=90.00 gamma=90.00
Space group Fm-3m (No. 225)
Inequivalent atoms, fractional coordinates:
Rb (0.250, 0.250, 0.250) x8
Nb (0.000, 0.000, 0.000) x4
Au (0.000, 0.000, 0.500) x4
F (0.000, 0.000, 0.190) x24

Output
Energy with MP2020 corrections, eV per atom: -5.2944
Uncorrected energy, eV per atom: -5.017
Mass density, g cm⁻³: 3.57
E_form, eV/atom: -2.612
Magnetization, Bohr magnetons per cell: 0.048